First-principles (GGA-PBE) data for a relaxed Mn2GaRh crystal, as listed in Materials Project.

Its total energy is -117.4 eV per cell. Its spin magnetization is 26.94 Bohr magnetons per cell.

abc: 5.979 5.979 5.979
angles: 90.00 90.00 90.00
Fractional coordinates of all 16 atoms:
Mn 0.000 0.000 0.000
Mn 0.000 0.500 0.500
Mn 0.250 0.250 0.250
Mn 0.250 0.750 0.750
Mn 0.500 0.000 0.500
Mn 0.500 0.500 0.000
Mn 0.750 0.250 0.750
Mn 0.750 0.750 0.250
Ga 0.250 0.250 0.750
Ga 0.250 0.750 0.250
Ga 0.750 0.250 0.250
Ga 0.750 0.750 0.750
Rh 0.000 0.000 0.500
Rh 0.000 0.500 0.000
Rh 0.500 0.000 0.000
Rh 0.500 0.500 0.500